This record from the Materials Project database describes MgMn6O8F4 after structural relaxation. The functional is PBE+U.

Calculated values
Its theoretical density is 4.1 Mg/m³. For the formation energy, the calculation gives -213.1 kJ/mol of atoms. The energy above the most stable polymorph in this dataset comes out at 0.105 eV per atom.

Lattice parameters (Å, degrees): 4.9706 5.0279 8.9870 91.15 90.52 91.59
Space group P1 (No. 1)
One atom of each set of equivalent atoms:
Mg1 0.0000 0.0000 0.0000 x1
Mn1 0.0179 0.5306 0.6571 x1
Mn2 0.0737 0.4972 0.0018 x1
Mn3 0.4679 0.9948 0.4960 x1
Mn4 0.4762 0.0050 0.8084 x1
Mn5 0.5077 0.0363 0.1692 x1
Mn6 0.9778 0.5611 0.3184 x1
O1 0.1590 0.7307 0.8449 x1
O2 0.1638 0.7595 0.1551 x1
O3 0.1658 0.7355 0.4858 x1
O4 0.3221 0.2080 0.6554 x1
O5 0.3469 0.1994 0.9898 x1
O6 0.6487 0.8236 0.6514 x1
O7 0.6538 0.8428 0.3273 x1
O8 0.8594 0.2950 0.1489 x1
F1 0.3169 0.2366 0.3406 x1
F2 0.6681 0.7983 0.9812 x1
F3 0.8137 0.3382 0.4826 x1
F4 0.8623 0.2687 0.8436 x1

This record from the Materials Project database describes Li4Mn5Sn3O16 after structural relaxation. The functional is PBE+U.

Calculated values
Its theoretical density is 4.8 Mg/m³. For the formation energy, the calculation gives -199.5 kJ/mol of atoms.

Lattice parameters (Å, degrees): 10.5368 6.1306 9.8659 90.00 90.64 90.00
Space group Cm (No. 8)
One atom of each set of equivalent atoms:
Li1 0.0000 0.0000 0.0000 x2
Li2 0.0036 0.0000 0.5077 x2
Li3 0.1457 0.5000 0.1065 x2
Li4 0.3078 0.0000 0.6171 x2
Mn1 0.0668 0.2558 0.7857 x4
Mn2 0.1444 0.5000 0.5108 x2
Mn3 0.1526 0.0000 0.2834 x2
Mn4 0.3156 0.0000 0.0043 x2
Sn1 0.3147 0.5000 0.7867 x2
Sn2 0.3987 0.2476 0.2863 x4
O1 0.0718 0.2323 0.3952 x4
O2 0.1414 0.5000 0.8945 x2
O3 0.1494 0.0000 0.8897 x2
O4 0.2160 0.2736 0.6683 x4
O5 0.2347 0.2197 0.1665 x4
O6 0.3106 0.0000 0.4004 x2
O7 0.3316 0.5000 0.4078 x2
O8 0.4127 0.2610 0.8991 x4
O9 0.4662 0.0000 0.1614 x2
O10 0.4914 0.5000 0.1824 x2
O11 0.4927 0.5000 0.6903 x2
O12 0.4963 0.0000 0.6728 x2

This record from the Materials Project database describes LiMn3NiO8 after structural relaxation. The functional is PBE+U.

Calculated values
Its theoretical density is 4.1 Mg/m³. For the formation energy, the calculation gives -163.6 kJ/mol of atoms.

Lattice parameters (Å, degrees): 9.9717 5.8174 5.9699 90.00 122.43 90.00
Space group C2/m (No. 12)
One atom of each set of equivalent atoms:
Li1 0.0000 0.0000 0.0000 x2
Mn1 0.0000 0.5000 0.5000 x2
Mn2 0.2500 0.2500 0.5000 x4
Ni1 0.0000 0.0000 0.5000 x2
O1 0.0244 0.2618 0.2960 x8
O2 0.2242 0.0000 0.6869 x4
O3 0.2332 0.5000 0.6984 x4

This record from the Materials Project database describes Li7Mn5O12 after structural relaxation. The functional is PBE+U.

Calculated values
Its theoretical density is 3.9 Mg/m³. For the formation energy, the calculation gives -205.0 kJ/mol of atoms. The energy above the most stable polymorph in this dataset comes out at 0.032 eV per atom.

Lattice parameters (Å, degrees): 2.8802 8.0433 9.8965 96.03 98.34 100.29
Space group P-1 (No. 2)
One atom of each set of equivalent atoms:
Li1 0.0000 0.0000 0.0000 x1
Li2 0.0794 0.4102 0.7486 x2
Li3 0.2445 0.2495 0.2403 x2
Li4 0.4150 0.0751 0.7550 x2
Mn1 0.1684 0.8314 0.5032 x2
Mn2 0.3356 0.6735 0.9983 x2
Mn3 0.5000 0.5000 0.5000 x1
O1 0.0570 0.2267 0.8857 x2
O2 0.1117 0.6031 0.6192 x2
O3 0.2189 0.0609 0.3793 x2
O4 0.2831 0.4596 0.1056 x2
O5 0.3670 0.8431 0.8903 x2
O6 0.4423 0.2709 0.6165 x2